Entry 1:
The following is a DFT calculation (PBE) of a relaxed BaCaLaBiO6 crystal.

Cell lengths 6.2565, 6.2565, 6.2565 Å; angles 60.00, 60.00, 60.00 degrees
Last column: nearest neighbours and their distance in Å.
Sites, in units of the cell vectors:
Ba1 0.7500 0.7500 0.7500  12 O 3.13
Ca1 0.2500 0.2500 0.2500  12 O 3.13
La1 0.5000 0.5000 0.5000  6 O 2.31
Bi1 0.0000 0.0000 0.0000  6 O 2.11
O1 0.7613 0.2387 0.2387  1 Bi 2.11, 1 La 2.31
O2 0.2387 0.7613 0.7613  1 Bi 2.11, 1 La 2.31
O3 0.7613 0.2387 0.7613  1 Bi 2.11, 1 La 2.31
O4 0.2387 0.7613 0.2387  1 Bi 2.11, 1 La 2.31
O5 0.7613 0.7613 0.2387  1 Bi 2.11, 1 La 2.31
O6 0.2387 0.2387 0.7613  1 Bi 2.11, 1 La 2.31

Summary:
- SG: No. 216
- Distance to the lowest polymorph of the same formula: 157 meV per atom
- ΔE_f: -26.22 eV/f.u.

---

Entry 2:
The following is a DFT calculation (PBE) of a relaxed NaSn crystal.

Cell lengths 11.5064, 11.5064, 11.5064 Å; angles 125.79, 125.79, 80.23 degrees
Last column: nearest neighbours and their distance in Å.
Sites, in units of the cell vectors:
Na1 0.1250 0.2528 0.6278  8 Sn 3.42-3.57, 4 Na 3.65-3.66
Na2 0.0028 0.8750 0.6278  8 Sn 3.42-3.57, 4 Na 3.65-3.66
Na3 0.2472 0.3750 0.3722  8 Sn 3.42-3.57, 4 Na 3.65-3.66
Na4 0.6250 0.4972 0.3722  8 Sn 3.42-3.57, 4 Na 3.65-3.66
Na5 0.6250 0.9972 0.8722  8 Sn 3.42-3.57, 4 Na 3.65-3.66
Na6 0.7472 0.3750 0.8722  8 Sn 3.42-3.57, 4 Na 3.65-3.66
Na7 0.5028 0.8750 0.1278  8 Sn 3.42-3.57, 4 Na 3.65-3.66
Na8 0.1250 0.7528 0.1278  8 Sn 3.42-3.57, 4 Na 3.65-3.66
Na9 0.6226 0.6226 0.7451  6 Sn 3.37-3.47, 4 Na 3.65-3.66
Na10 0.3726 0.1274 0.5000  6 Sn 3.37-3.47, 4 Na 3.65-3.66
Na11 0.6274 0.8726 0.5000  6 Sn 3.37-3.47, 4 Na 3.65-3.66
Na12 0.8774 0.8774 0.2549  6 Sn 3.37-3.47, 4 Na 3.65-3.66
Na13 0.1274 0.6274 0.7549  6 Sn 3.37-3.47, 4 Na 3.65-3.66
Na14 0.3774 0.1226 0.0000  6 Sn 3.37-3.47, 4 Na 3.65-3.66
Na15 0.1226 0.3774 0.0000  6 Sn 3.37-3.47, 4 Na 3.65-3.66
Na16 0.8726 0.3726 0.2451  6 Sn 3.37-3.47, 4 Na 3.65-3.66
Sn1 0.9343 0.1300 0.9413  3 Sn 3.03-3.05, 2 Na 3.37
Sn2 0.8800 0.4387 0.6958  3 Sn 3.03-3.05, 2 Na 3.37
Sn3 0.7429 0.1843 0.3042  3 Sn 3.03-3.05, 2 Na 3.37
Sn4 0.3157 0.7571 0.6958  3 Sn 3.03-3.05, 2 Na 3.37
Sn5 0.0613 0.6200 0.3042  3 Sn 3.03-3.05, 2 Na 3.37
Sn6 0.5071 0.3113 0.9413  3 Sn 3.03-3.05, 2 Na 3.37
Sn7 0.3700 0.5657 0.0587  3 Sn 3.03-3.05, 2 Na 3.37
Sn8 0.1887 0.9929 0.0587  3 Sn 3.03-3.05, 2 Na 3.37
Sn9 0.8157 0.1200 0.5587  3 Sn 3.03-3.05, 2 Na 3.37
Sn10 0.8700 0.8113 0.8042  3 Sn 3.03-3.05, 2 Na 3.37
Sn11 0.0071 0.0657 0.1958  3 Sn 3.03-3.05, 2 Na 3.37
Sn12 0.4343 0.4929 0.8042  3 Sn 3.03-3.05, 2 Na 3.37
Sn13 0.6887 0.6300 0.1958  3 Sn 3.03-3.05, 2 Na 3.37
Sn14 0.2429 0.9387 0.5587  3 Sn 3.03-3.05, 2 Na 3.37
Sn15 0.3800 0.6843 0.4413  3 Sn 3.03-3.05, 2 Na 3.37
Sn16 0.5613 0.2571 0.4413  3 Sn 3.03-3.05, 2 Na 3.37

Summary:
- SG: No. 142
- ΔE_f: -0.44 eV/f.u.

---

Entry 3:
The following is a DFT calculation (PBE) of a relaxed TmB2Os crystal.

Cell lengths 5.8419, 5.2799, 6.3276 Å; angles 90.00, 90.00, 90.00 degrees
Last column: nearest neighbours and their distance in Å.
Sites, in units of the cell vectors:
Tm1 0.0106 0.2500 0.3342  6 B 2.58-2.67
Tm2 0.5106 0.2500 0.1658  6 B 2.58-2.67
Tm3 0.9894 0.7500 0.6658  6 B 2.58-2.67
Tm4 0.4894 0.7500 0.8342  6 B 2.58-2.67
B1 0.3615 0.0814 0.5379  2 B 1.78-1.89
B2 0.8615 0.4186 0.9621  2 B 1.78-1.89
B3 0.6385 0.5814 0.4621  2 B 1.78-1.89
B4 0.1385 0.9186 0.0379  2 B 1.78-1.89
B5 0.6385 0.9186 0.4621  2 B 1.78-1.89
B6 0.1385 0.5814 0.0379  2 B 1.78-1.89
B7 0.3615 0.4186 0.5379  2 B 1.78-1.89
B8 0.8615 0.0814 0.9621  2 B 1.78-1.89
Os1 0.1768 0.2500 0.8177  6 B 2.24-2.26
Os2 0.6768 0.2500 0.6823  6 B 2.24-2.26
Os3 0.8232 0.7500 0.1823  6 B 2.24-2.26
Os4 0.3232 0.7500 0.3177  6 B 2.24-2.26

Summary:
- SG: No. 62
- ΔE_f: -2.49 eV/f.u.

---

Entry 4:
The following is a DFT calculation (PBE) of a relaxed KU2F9 crystal.

Cell lengths 8.1394, 10.2549, 10.5099 Å; angles 90.00, 90.00, 90.00 degrees
Last column: nearest neighbours and their distance in Å.
Sites, in units of the cell vectors:
K1 0.0356 0.7500 0.5007  4 F 2.63-2.64
K2 0.9644 0.2500 0.4993  4 F 2.63-2.64
K3 0.4644 0.2500 0.0007  4 F 2.63-2.64
K4 0.5356 0.7500 0.9993  4 F 2.63-2.64
U1 0.1199 0.0214 0.1552  5 F 2.09-2.30
U2 0.1199 0.4786 0.1552  5 F 2.09-2.30
U3 0.8801 0.9786 0.8448  5 F 2.09-2.30
U4 0.8801 0.5214 0.8448  5 F 2.09-2.30
U5 0.6199 0.0214 0.3448  5 F 2.09-2.30
U6 0.6199 0.4786 0.3448  5 F 2.09-2.30
U7 0.3801 0.5214 0.6552  5 F 2.09-2.30
U8 0.3801 0.9786 0.6552  5 F 2.09-2.30
F1 0.6543 0.2500 0.3293  2 U 2.37
F2 0.6100 0.9205 0.7620  2 U 2.26-2.44
F3 0.1543 0.2500 0.1707  2 U 2.37
F4 0.3457 0.7500 0.6707  2 U 2.37
F5 0.0621 0.1063 0.9576  2 U 2.30, 1 F 2.56
F6 0.7093 0.0876 0.9565  1 U 2.13
F7 0.8457 0.7500 0.8293  2 U 2.37
F8 0.4379 0.6063 0.4576  2 U 2.30, 1 F 2.56
F9 0.0621 0.3937 0.9576  2 U 2.30, 1 F 2.56
F10 0.6395 0.8899 0.1933  1 U 2.09
F11 0.8605 0.1101 0.6933  1 U 2.09
F12 0.2907 0.5876 0.0435  1 U 2.13
F13 0.5621 0.1063 0.5424  2 U 2.30, 1 F 2.56
F14 0.1100 0.9205 0.7380  2 U 2.26-2.44
F15 0.7907 0.5876 0.4565  1 U 2.13
F16 0.3605 0.1101 0.8067  1 U 2.09
F17 0.5621 0.3937 0.5424  2 U 2.30, 1 F 2.56
F18 0.2093 0.0876 0.5435  1 U 2.13
F19 0.1395 0.6101 0.3067  1 U 2.09
F20 0.7093 0.4124 0.9565  1 U 2.13
F21 0.6100 0.5795 0.7620  2 U 2.26-2.44
F22 0.8900 0.4205 0.2620  2 U 2.26-2.44
F23 0.2907 0.9124 0.0435  1 U 2.13
F24 0.9379 0.6063 0.0424  2 U 2.30, 1 F 2.56
F25 0.4379 0.8937 0.4576  2 U 2.30, 1 F 2.56
F26 0.8900 0.0795 0.2620  2 U 2.26-2.44
F27 0.8605 0.3899 0.6933  1 U 2.09
F28 0.1395 0.8899 0.3067  1 U 2.09
F29 0.3900 0.4205 0.2380  2 U 2.26-2.44
F30 0.1100 0.5795 0.7380  2 U 2.26-2.44
F31 0.7907 0.9124 0.4565  1 U 2.13
F32 0.3900 0.0795 0.2380  2 U 2.26-2.44
F33 0.6395 0.6101 0.1933  1 U 2.09
F34 0.2093 0.4124 0.5435  1 U 2.13
F35 0.9379 0.8937 0.0424  2 U 2.30, 1 F 2.56
F36 0.3605 0.3899 0.8067  1 U 2.09

Summary:
- SG: No. 62
- Distance to the lowest polymorph of the same formula: 68 meV per atom
- ΔE_f: -45.38 eV/f.u.

---

Entry 5:
The following is a DFT calculation (PBE) of a relaxed K4Sn21Hg2 crystal.

Cell lengths 12.4516, 12.4516, 12.4594 Å; angles 90.00, 90.00, 90.02 degrees
Last column: nearest neighbours and their distance in Å.
Sites, in units of the cell vectors:
K1 0.4996 0.9997 0.2500  20 Sn 3.93-4.18
K2 0.0003 0.5004 0.7500  20 Sn 3.93-4.18
K3 0.4993 0.5007 0.0000  16 Sn 4.15-4.64, 2 Hg 4.40
K4 0.0007 0.2492 0.2500  17 Sn 4.15-4.64, 3 Hg 4.40
K5 0.7508 0.9993 0.7500  17 Sn 4.15-4.64, 3 Hg 4.40
K6 0.4993 0.5007 0.5000  16 Sn 4.15-4.64, 2 Hg 4.40
K7 0.0007 0.7508 0.2500  15 Sn 4.15-4.64, 3 Hg 4.40
K8 0.2492 0.9993 0.7500  15 Sn 4.15-4.64, 3 Hg 4.40
Sn1 0.4999 0.1164 0.9415  4 Sn 2.89-2.94
Sn2 0.6159 0.3089 0.2500  4 Sn 2.89-2.92
Sn3 0.8124 0.0000 0.1326  1 Hg 2.86, 3 Sn 2.90-2.93
Sn4 0.5001 0.8807 0.5638  1 Hg 2.83, 3 Sn 2.91-2.94
Sn5 0.3808 0.6862 0.2500  1 Hg 2.83, 3 Sn 2.91-2.93
Sn6 0.1874 0.0000 0.3678  1 Hg 2.86, 3 Sn 2.90-2.93
Sn7 0.6163 0.6912 0.2500  4 Sn 2.89-2.93
Sn8 0.8124 0.0000 0.3674  1 Hg 2.86, 3 Sn 2.90-2.93
Sn9 0.3812 0.3139 0.2500  1 Hg 2.84, 3 Sn 2.91-2.92
Sn10 0.1874 0.0000 0.1322  1 Hg 2.86, 3 Sn 2.90-2.93
Sn11 0.5001 0.8807 0.9362  1 Hg 2.83, 3 Sn 2.91-2.94
Sn12 0.4999 0.1164 0.5585  4 Sn 2.89-2.94
Sn13 0.0000 0.1876 0.8674  1 Hg 2.86, 3 Sn 2.90-2.93
Sn14 0.1193 0.4999 0.0638  1 Hg 2.83, 3 Sn 2.91-2.94
Sn15 0.3088 0.3837 0.7500  4 Sn 2.89-2.93
Sn16 0.0000 0.8126 0.6322  1 Hg 2.86, 3 Sn 2.90-2.93
Sn17 0.8836 0.5001 0.4415  4 Sn 2.89-2.94
Sn18 0.6861 0.6188 0.7500  1 Hg 2.84, 3 Sn 2.91-2.92
Sn19 0.1193 0.4999 0.4362  1 Hg 2.83, 3 Sn 2.91-2.94
Sn20 0.3138 0.6192 0.7500  1 Hg 2.83, 3 Sn 2.91-2.93
Sn21 0.8836 0.5001 0.0585  4 Sn 2.89-2.94
Sn22 0.6911 0.3841 0.7500  4 Sn 2.89-2.92
Sn23 0.0000 0.1876 0.6325  1 Hg 2.86, 3 Sn 2.90-2.93
Sn24 0.0000 0.8126 0.8678  1 Hg 2.86, 3 Sn 2.90-2.93
Sn25 0.6838 0.1831 0.0668  4 Sn 2.87-2.90
Sn26 0.3178 0.8178 0.4323  4 Sn 2.90-2.92
Sn27 0.6830 0.8176 0.4332  4 Sn 2.89-2.91
Sn28 0.3170 0.1831 0.0676  4 Sn 2.89-2.91
Sn29 0.3178 0.8178 0.0677  4 Sn 2.90-2.92
Sn30 0.6838 0.1831 0.4332  4 Sn 2.87-2.90
Sn31 0.3170 0.1831 0.4324  4 Sn 2.89-2.91
Sn32 0.6830 0.8176 0.0668  4 Sn 2.89-2.91
Sn33 0.1824 0.3170 0.9332  4 Sn 2.89-2.91
Sn34 0.8169 0.6830 0.5676  4 Sn 2.89-2.91
Sn35 0.1822 0.6822 0.5677  4 Sn 2.90-2.92
Sn36 0.8169 0.3162 0.9332  4 Sn 2.87-2.90
Sn37 0.8169 0.3162 0.5668  4 Sn 2.87-2.90
Sn38 0.1822 0.6822 0.9323  4 Sn 2.90-2.92
Sn39 0.8169 0.6830 0.9324  4 Sn 2.89-2.91
Sn40 0.1824 0.3170 0.5668  4 Sn 2.89-2.91
Sn41 0.5002 0.2499 0.7500  4 Sn 2.90-2.91
Sn42 0.7501 0.4998 0.2500  4 Sn 2.90-2.91
Hg1 0.0000 0.0000 0.0000  4 Sn 2.86
Hg2 0.5000 0.7500 0.7500  4 Sn 2.83-2.84
Hg3 0.2500 0.5000 0.2500  4 Sn 2.83-2.84
Hg4 0.0000 0.0000 0.5000  4 Sn 2.86

Summary:
- SG: No. 40
- ΔE_f: -3.85 eV/f.u.

---

Entry 6:
The following is a DFT calculation (PBE) of a relaxed NaTiS2 crystal.

Cell lengths 3.5547, 3.5547, 6.7974 Å; angles 90.00, 90.00, 120.00 degrees
Last column: nearest neighbours and their distance in Å.
Sites, in units of the cell vectors:
Na1 0.0000 0.0000 0.5000  6 S 2.85
Ti1 0.0000 0.0000 0.0000  6 S 2.50
S1 0.3333 0.6667 0.7903  3 Ti 2.50
S2 0.6667 0.3333 0.2097  3 Ti 2.50

Summary:
- SG: No. 164
- ΔE_f: -6.36 eV/f.u.

---

Entry 7:
The following is a DFT calculation (PBE) of a relaxed K2GdF5 crystal.

Cell lengths 6.7141, 7.4554, 10.9778 Å; angles 90.00, 90.00, 90.00 degrees
Last column: nearest neighbours and their distance in Å.
Sites, in units of the cell vectors:
K1 0.4663 0.5052 0.6708  8 F 2.68-2.91
K2 0.0337 0.9948 0.1708  8 F 2.68-2.91
K3 0.5337 0.0052 0.3292  8 F 2.68-2.91
K4 0.9663 0.4948 0.8292  8 F 2.68-2.91
K5 0.5337 0.4948 0.3292  8 F 2.68-2.91
K6 0.9663 0.0052 0.8292  8 F 2.68-2.91
K7 0.4663 0.9948 0.6708  8 F 2.68-2.91
K8 0.0337 0.5052 0.1708  8 F 2.68-2.91
Gd1 0.9342 0.7500 0.5030  7 F 2.25-2.34
Gd2 0.5658 0.7500 0.0030  7 F 2.25-2.34
Gd3 0.0658 0.2500 0.4970  7 F 2.25-2.34
Gd4 0.4342 0.2500 0.9970  7 F 2.25-2.34
F1 0.5995 0.7500 0.5110  1 Gd 2.25
F2 0.9005 0.7500 0.0110  1 Gd 2.25
F3 0.4005 0.2500 0.4890  1 Gd 2.25
F4 0.0995 0.2500 0.9890  1 Gd 2.25
F5 0.1491 0.5348 0.4236  2 Gd 2.33-2.34
F6 0.3509 0.9652 0.9236  2 Gd 2.33-2.34
F7 0.8509 0.0348 0.5764  2 Gd 2.33-2.34
F8 0.6491 0.4652 0.0764  2 Gd 2.33-2.34
F9 0.8509 0.4652 0.5764  2 Gd 2.33-2.34
F10 0.6491 0.0348 0.0764  2 Gd 2.33-2.34
F11 0.1491 0.9652 0.4236  2 Gd 2.33-2.34
F12 0.3509 0.5348 0.9236  2 Gd 2.33-2.34
F13 0.1292 0.7500 0.6696  1 Gd 2.25
F14 0.3708 0.7500 0.1696  1 Gd 2.25
F15 0.8708 0.2500 0.3304  1 Gd 2.25
F16 0.6292 0.2500 0.8304  1 Gd 2.25
F17 0.8356 0.7500 0.3055  1 Gd 2.27
F18 0.6644 0.7500 0.8055  1 Gd 2.27
F19 0.1644 0.2500 0.6945  1 Gd 2.27
F20 0.3356 0.2500 0.1945  1 Gd 2.27

Summary:
- SG: No. 62
- ΔE_f: -29.81 eV/f.u.

---

Entry 8:
The following is a DFT calculation (PBE) of a relaxed LiZnSb4O8 crystal.

Cell lengths 3.3873, 8.0359, 10.2615 Å; angles 59.61, 59.95, 64.89 degrees
Last column: nearest neighbours and their distance in Å.
Sites, in units of the cell vectors:
Li1 0.7253 0.0605 0.8530  2 O 1.96-1.97
Zn1 0.2599 0.0611 0.1710  4 O 1.99-2.20
Sb1 0.5579 0.2493 0.5016  4 O 2.06-2.27
Sb2 0.2170 0.6447 0.1460  3 O 2.01-2.10
Sb3 0.8481 0.3940 0.8897  6 O 2.12-2.19
Sb4 0.4318 0.8058 0.5633  3 O 2.03-2.19
O1 0.7815 0.7040 0.7276  3 Sb 2.17-2.19
O2 0.5862 0.3515 0.7622  1 Li 1.96, 2 Sb 2.12-2.13
O3 0.4830 0.7374 0.2382  2 Sb 2.10, 1 Zn 2.20
O4 0.1885 0.3845 0.3353  2 Sb 2.01-2.18
O5 0.0820 0.0351 0.6402  1 Li 1.97, 1 Sb 2.03
O6 0.9623 0.0778 0.0267  2 Zn 2.10, 1 Sb 2.16, 1 Li 2.28
O7 0.9358 0.0345 0.4024  1 Zn 1.99, 1 Sb 2.06
O8 0.1103 0.4088 0.0388  2 Sb 2.17-2.19, 1 Zn 2.36

Summary:
- SG: No. 1
- Distance to the lowest polymorph of the same formula: 23 meV per atom
- ΔE_f: -23.62 eV/f.u.

---

Question: Which value of ΔE_f does entry 6 give?
Answer: -6.36 eV/f.u.

---

Repeat the third record exactly.
The following is a DFT calculation (PBE) of a relaxed TmB2Os crystal.

Cell lengths 5.8419, 5.2799, 6.3276 Å; angles 90.00, 90.00, 90.00 degrees
Last column: nearest neighbours and their distance in Å.
Sites, in units of the cell vectors:
Tm1 0.0106 0.2500 0.3342  6 B 2.58-2.67
Tm2 0.5106 0.2500 0.1658  6 B 2.58-2.67
Tm3 0.9894 0.7500 0.6658  6 B 2.58-2.67
Tm4 0.4894 0.7500 0.8342  6 B 2.58-2.67
B1 0.3615 0.0814 0.5379  2 B 1.78-1.89
B2 0.8615 0.4186 0.9621  2 B 1.78-1.89
B3 0.6385 0.5814 0.4621  2 B 1.78-1.89
B4 0.1385 0.9186 0.0379  2 B 1.78-1.89
B5 0.6385 0.9186 0.4621  2 B 1.78-1.89
B6 0.1385 0.5814 0.0379  2 B 1.78-1.89
B7 0.3615 0.4186 0.5379  2 B 1.78-1.89
B8 0.8615 0.0814 0.9621  2 B 1.78-1.89
Os1 0.1768 0.2500 0.8177  6 B 2.24-2.26
Os2 0.6768 0.2500 0.6823  6 B 2.24-2.26
Os3 0.8232 0.7500 0.1823  6 B 2.24-2.26
Os4 0.3232 0.7500 0.3177  6 B 2.24-2.26

Summary:
- SG: No. 62
- ΔE_f: -2.49 eV/f.u.

---

Question: Which value of ΔE_f does entry 5 give?
Answer: -3.85 eV/f.u.